## 1
VASP calculation (PBE+U) on a relaxed Ca4Mn3CrO11 crystal.

## Properties
**Space group**: Pmm2

a = 7.6605 Å, b = 7.6712 Å, c = 7.6527 Å
α = 90.00°, β = 90.00°, γ = 90.00°
Atoms (fractional coordinates):
Ca 0.2492 0.2502 0.0000
Ca 0.2492 0.7498 0.0000
Ca 0.2504 0.2481 0.4930
Ca 0.2504 0.7519 0.4930
Ca 0.7496 0.2481 0.4930
Ca 0.7496 0.7519 0.4930
Ca 0.7508 0.2502 0.0000
Ca 0.7508 0.7498 0.0000
Mn 0.0000 0.0000 0.2537
Mn 0.0000 0.5000 0.2438
Mn 0.5000 0.0000 0.2394
Mn 0.5000 0.0000 0.7513
Mn 0.5000 0.5000 0.2533
Mn 0.5000 0.5000 0.7382
Cr 0.0000 0.0000 0.7402
Cr 0.0000 0.5000 0.7505
O 0.0000 0.0000 0.0005
O 0.0000 0.0000 0.4893
O 0.0000 0.2531 0.2651
O 0.0000 0.2598 0.7186
O 0.0000 0.5000 0.9890
O 0.0000 0.7402 0.7186
O 0.0000 0.7469 0.2651
O 0.2444 0.5000 0.7182
O 0.2471 0.5000 0.2652
O 0.2546 0.0000 0.2663
O 0.2587 0.0000 0.7160
O 0.5000 0.0000 0.9939
O 0.5000 0.2459 0.2667
O 0.5000 0.2463 0.7229
O 0.5000 0.5000 0.4952
O 0.5000 0.5000 0.9946
O 0.5000 0.7541 0.2667
O 0.5000 0.7537 0.7229
O 0.7413 0.0000 0.7160
O 0.7454 0.0000 0.2663
O 0.7529 0.5000 0.2652
O 0.7556 0.5000 0.7182



## 2
VASP calculation (PBE+U) on a relaxed Ca4Mn3CrO11 crystal.

## Properties
**Space group**: P1

a = 5.4248 Å, b = 10.8376 Å, c = 15.4970 Å
α = 89.55°, β = 89.76°, γ = 89.45°
Atoms (fractional coordinates):
Ca 0.0000 0.0000 0.0000
Ca 0.0010 0.5532 0.7552
Ca 0.0062 0.5135 0.0104
Ca 0.0078 0.5038 0.4878
Ca 0.0398 0.9949 0.7612
Ca 0.4924 0.7443 0.9993
Ca 0.4959 0.7717 0.7642
Ca 0.4998 0.7378 0.4871
Ca 0.5062 0.2711 0.0157
Ca 0.5070 0.2703 0.4827
Ca 0.5097 0.2967 0.2493
Ca 0.5122 0.7900 0.2436
Ca 0.5412 0.3157 0.7466
Ca 0.9890 0.0424 0.2417
Ca 0.9962 0.5450 0.2481
Ca 0.9970 0.0097 0.4756
Mn 0.0024 0.2708 0.3692
Mn 0.0030 0.7744 0.3708
Mn 0.0031 0.7765 0.1228
Mn 0.0080 0.2883 0.6199
Mn 0.0362 0.2802 0.8866
Mn 0.4941 0.0220 0.3618
Mn 0.4954 0.0256 0.1190
Mn 0.5018 0.5232 0.3702
Mn 0.5023 0.5257 0.6231
Mn 0.5033 0.5250 0.1262
Mn 0.5122 0.5175 0.8758
Mn 0.9988 0.2740 0.1268
Cr 0.4869 0.0126 0.8778
Cr 0.6263 0.0406 0.6398
Cr 0.9778 0.7592 0.6181
Cr 0.9986 0.7669 0.8786
O 0.0690 0.7701 0.7439
O 0.0821 0.2598 0.2470
O 0.0831 0.7683 0.2474
O 0.1772 0.1223 0.8738
O 0.2013 0.6250 0.5940
O 0.2082 0.1321 0.0984
O 0.2153 0.6317 0.3925
O 0.2161 0.6148 0.8958
O 0.2233 0.6351 0.1037
O 0.2242 0.1314 0.3876
O 0.2804 0.3857 0.1089
O 0.2810 0.3832 0.3888
O 0.2896 0.8722 0.8914
O 0.2917 0.8828 0.3979
O 0.2931 0.8828 0.0944
O 0.3390 0.3564 0.6156
O 0.3487 0.3584 0.8815
O 0.4187 0.0087 0.2382
O 0.4263 0.5232 0.7485
O 0.4280 0.5197 0.2487
O 0.4509 0.9989 0.7356
O 0.4858 0.0632 0.5401
O 0.5780 0.5206 0.4973
O 0.5792 0.5196 0.9995
O 0.5795 0.0574 0.9906
O 0.6594 0.6923 0.6356
O 0.7066 0.1715 0.1450
O 0.7141 0.1648 0.3579
O 0.7142 0.6692 0.3537
O 0.7163 0.6574 0.8571
O 0.7219 0.6671 0.1437
O 0.7815 0.9163 0.8589
O 0.7877 0.4177 0.1478
O 0.7889 0.4148 0.3533
O 0.7944 0.9221 0.1381
O 0.7936 0.9218 0.3528
O 0.8047 0.4350 0.6487
O 0.8112 0.1662 0.6898
O 0.8164 0.4035 0.8449
O 0.8931 0.9421 0.6246
O 0.9171 0.7792 0.0023
O 0.9227 0.7906 0.4931
O 0.9288 0.2893 0.0036
O 0.9448 0.2632 0.4962



Relative energy of each structure, in eV/atom: 1 0.065; 2 0.000.



## 1
VASP calculation (PBE+U) on a relaxed SrCa7Mn7CrO20 crystal.

## Properties
**Space group**: Cm

a = 7.8623 Å, b = 7.8623 Å, c = 7.6799 Å
α = 91.73°, β = 91.73°, γ = 90.63°
Atoms (fractional coordinates):
Sr 0.0000 0.0000 0.0000
Ca 0.5049 0.5049 0.0175
Ca 0.5159 0.9937 0.0089
Ca 0.5178 0.5178 0.4747
Ca 0.5269 0.9948 0.4595
Ca 0.9767 0.9767 0.4491
Ca 0.9937 0.5159 0.0089
Ca 0.9948 0.5269 0.4595
Mn 0.2485 0.2485 0.2716
Mn 0.2499 0.7414 0.2408
Mn 0.2518 0.7603 0.7488
Mn 0.7414 0.2499 0.2408
Mn 0.7445 0.7445 0.2393
Mn 0.7439 0.7439 0.7410
Mn 0.7603 0.2518 0.7488
Cr 0.2346 0.2346 0.7328
O 0.0286 0.2926 0.8074
O 0.2299 0.7170 0.9898
O 0.2403 0.4855 0.2157
O 0.2439 0.9989 0.2732
O 0.2540 0.7201 0.4971
O 0.2926 0.0286 0.8074
O 0.3167 0.3167 0.5389
O 0.4855 0.2403 0.2157
O 0.5003 0.7307 0.7833
O 0.5049 0.7480 0.2162
O 0.7170 0.2299 0.9898
O 0.7201 0.2540 0.4971
O 0.7307 0.5003 0.7833
O 0.7385 0.7385 0.4895
O 0.7427 0.9950 0.7465
O 0.7473 0.9871 0.2362
O 0.7480 0.5049 0.2162
O 0.9871 0.7473 0.2362
O 0.9950 0.7427 0.7465
O 0.9989 0.2439 0.2732



## 2
VASP calculation (PBE+U) on a relaxed SrCa7Mn7CrO20 crystal.

## Properties
**Space group**: P1

a = 11.0307 Å, b = 11.1595 Å, c = 15.4422 Å
α = 90.00°, β = 90.29°, γ = 91.62°
Atoms (fractional coordinates):
Sr 0.0000 0.0000 0.0000
Sr 0.0111 0.0137 0.2679
Sr 0.2401 0.7531 0.2773
Sr 0.7283 0.2702 0.0125
Ca 0.0067 0.5058 0.9928
Ca 0.0083 0.4931 0.4979
Ca 0.0091 0.9915 0.4984
Ca 0.0135 0.0197 0.7696
Ca 0.0164 0.5147 0.7675
Ca 0.0162 0.5183 0.2741
Ca 0.2360 0.7558 0.7763
Ca 0.2424 0.2517 0.7768
Ca 0.2443 0.2547 0.2773
Ca 0.2792 0.2574 0.0034
Ca 0.2820 0.7597 0.5066
Ca 0.2834 0.2549 0.5093
Ca 0.2831 0.7567 0.0020
Ca 0.4594 0.5083 0.7668
Ca 0.4587 0.5085 0.2674
Ca 0.4595 0.0111 0.7648
Ca 0.4652 0.0119 0.2727
Ca 0.4824 0.0042 0.5162
Ca 0.4825 0.0058 0.0072
Ca 0.4840 0.5062 0.0166
Ca 0.4871 0.5076 0.5154
Ca 0.6925 0.2799 0.2613
Ca 0.6975 0.2804 0.7605
Ca 0.6981 0.7812 0.7594
Ca 0.6980 0.7818 0.2600
Ca 0.7208 0.2750 0.5164
Ca 0.7215 0.7737 0.5145
Ca 0.7247 0.7714 0.0164
Mn 0.0004 0.2456 0.8854
Mn 0.2431 0.4982 0.1351
Mn 0.2446 0.0010 0.6369
Mn 0.2455 0.0058 0.8908
Mn 0.2461 0.5029 0.6365
Mn 0.2458 0.5040 0.3957
Mn 0.2468 0.5085 0.8920
Mn 0.4814 0.2584 0.1408
Mn 0.4843 0.2622 0.6425
Mn 0.4845 0.7596 0.6426
Mn 0.4887 0.7583 0.1403
Mn 0.4939 0.2650 0.8859
Mn 0.4944 0.2655 0.3883
Mn 0.4972 0.7636 0.3874
Mn 0.4981 0.7641 0.8857
Mn 0.7233 0.0102 0.1377
Mn 0.7281 0.0137 0.6424
Mn 0.7288 0.5136 0.6430
Mn 0.7332 0.0248 0.8922
Mn 0.7336 0.5106 0.1411
Mn 0.7352 0.5262 0.3996
Mn 0.7364 0.0314 0.4018
Mn 0.7384 0.5291 0.8970
Mn 0.9659 0.8038 0.6465
Mn 0.9690 0.3032 0.6443
Mn 0.9704 0.7899 0.1418
Mn 0.9954 0.7407 0.3927
Mn 0.9949 0.7416 0.8844
Cr 0.0025 0.2440 0.3932
Cr 0.2461 0.0084 0.3927
Cr 0.2554 0.9912 0.1359
Cr 0.9742 0.3164 0.1481
O 0.0079 0.7250 0.2602
O 0.0206 0.7218 0.7553
O 0.0244 0.2354 0.2503
O 0.0252 0.2274 0.7555
O 0.0658 0.4632 0.1336
O 0.0763 0.9542 0.6373
O 0.0786 0.4553 0.6351
O 0.0836 0.8900 0.8764
O 0.0871 0.3942 0.8803
O 0.0924 0.3960 0.3804
O 0.0927 0.8898 0.3837
O 0.0947 0.9368 0.1363
O 0.1382 0.1472 0.4191
O 0.1419 0.6372 0.4191
O 0.1429 0.1405 0.9137
O 0.1444 0.6418 0.9157
O 0.2377 0.5304 0.2616
O 0.2404 0.0409 0.7616
O 0.2414 0.5447 0.7612
O 0.2453 0.4645 0.0136
O 0.2460 0.0415 0.2612
O 0.2460 0.9666 0.5160
O 0.2496 0.4619 0.5145
O 0.2532 0.9625 0.0106
O 0.3305 0.3420 0.1524
O 0.3336 0.3451 0.6555
O 0.3351 0.8443 0.6554
O 0.3353 0.8564 0.1516
O 0.3543 0.3681 0.3744
O 0.3542 0.3724 0.8711
O 0.3556 0.8689 0.8706
O 0.3614 0.8735 0.3771
O 0.3756 0.1120 0.1127
O 0.3768 0.6163 0.1168
O 0.3844 0.6151 0.4062
O 0.3846 0.1131 0.6182
O 0.3846 0.6134 0.6158
O 0.3890 0.1250 0.9043
O 0.3911 0.1213 0.4103
O 0.3956 0.6224 0.9080
O 0.4833 0.2251 0.2640
O 0.4874 0.2241 0.7637
O 0.4878 0.7223 0.2644
O 0.4914 0.7184 0.7635
O 0.4953 0.2963 0.0116
O 0.4991 0.2984 0.5167
O 0.5001 0.7944 0.5150
O 0.5028 0.7967 0.0108
O 0.5814 0.4095 0.6639
O 0.5811 0.9071 0.6620
O 0.5807 0.9079 0.1631
O 0.5823 0.4069 0.1595
O 0.6065 0.9136 0.8615
O 0.6080 0.4141 0.3645
O 0.6143 0.4142 0.8670
O 0.6183 0.9187 0.3633
O 0.6386 0.1692 0.8890
O 0.6459 0.1779 0.3935
O 0.6466 0.1653 0.1378
O 0.6483 0.6753 0.3924
O 0.6524 0.6783 0.8924
O 0.6533 0.1719 0.6348
O 0.6552 0.6706 0.6340
O 0.6582 0.6659 0.1348
O 0.7591 0.4806 0.5183
O 0.7592 0.9819 0.0122
O 0.7655 0.9784 0.5172
O 0.7775 0.4871 0.0154
O 0.8399 0.9050 0.1896
O 0.8409 0.4116 0.7055
O 0.8410 0.9150 0.7100
O 0.8462 0.4030 0.2072
O 0.8841 0.1090 0.8771
O 0.8906 0.1018 0.3831
O 0.8944 0.5925 0.3856
O 0.8940 0.5938 0.8756
O 0.9414 0.2806 0.5120
O 0.9414 0.7632 0.0117
O 0.9413 0.7766 0.5137
O 0.9604 0.2649 0.0287



Relative energy of each structure, in eV/atom: 1 0.045; 2 0.000.